Entry from the Materials Project database: a relaxed structure of SmMg2Ti3S8 (PBE).

Cell: 7.3567 7.3567 7.6336 Å, 118.68 118.68 60.13°
Last column: nearest neighbours and their distance in Å.
Atoms (fractional coordinates):
Sm (0.0000, 0.0000, 0.0000)  6 S 2.75
Mg (0.3728, 0.3728, 0.1174)  4 S 2.44-2.50
Mg (0.6272, 0.6272, 0.8826)  4 S 2.44-2.50
Ti (0.0000, 0.0000, 0.5000)  6 S 2.49-2.56
Ti (0.0000, 0.5000, 0.5000)  6 S 2.49-2.56
Ti (0.5000, 0.0000, 0.5000)  6 S 2.49-2.56
S (0.2277, 0.7432, 0.7132)  1 Mg 2.44, 2 Ti 2.49-2.50
S (0.2411, 0.2411, 0.7239)  1 Mg 2.50, 3 Ti 2.56
S (0.2573, 0.2573, 0.2869)  1 Mg 2.44, 2 Ti 2.49
S (0.2568, 0.7723, 0.2868)  1 Mg 2.44, 2 Ti 2.49-2.50
S (0.7432, 0.2277, 0.7132)  1 Mg 2.44, 2 Ti 2.49-2.50
S (0.7427, 0.7427, 0.7131)  1 Mg 2.44, 2 Ti 2.49
S (0.7589, 0.7589, 0.2761)  1 Mg 2.50, 3 Ti 2.56
S (0.7723, 0.2568, 0.2868)  1 Mg 2.44, 2 Ti 2.49-2.50

Results
SG = C2/m, No. 12
energy relative to the elements = -1711 meV/atom
DFT total energy = -6.044 eV per atom